[1]
The following is a DFT calculation (PBE) of a geometry-optimized Na6ZnSn7P12O48 structure.

## Properties
* calculated formation energy: -2510 meV per atom
* space group: P1 (1)

Cell lengths 17.546, 8.791, 22.808 Å; angles 90.05, 89.95, 120.06 degrees
Fractional positions:
O: 0.760 0.831 0.756
O: 0.258 0.631 0.861
O: 0.588 0.962 0.195
O: 0.571 0.643 0.078
O: 0.152 0.845 0.970
O: 0.394 0.962 0.696
O: 0.511 0.190 0.912
O: 0.349 0.548 0.527
O: 0.850 0.149 0.026
O: 0.604 0.034 0.305
O: 0.272 0.699 0.972
O: 0.773 0.699 0.972
O: 0.893 0.824 0.196
O: 0.583 0.190 0.411
O: 0.943 0.525 0.142
O: 0.735 0.166 0.246
O: 0.676 0.498 0.078
O: 0.483 0.179 0.306
O: 0.921 0.522 0.746
O: 0.260 0.831 0.756
O: 0.843 0.527 0.247
O: 0.227 0.300 0.028
O: 0.262 0.692 0.255
O: 0.924 0.302 0.529
O: 0.084 0.978 0.912
O: 0.405 0.977 0.411
O: 0.917 0.022 0.086
O: 0.322 0.500 0.923
O: 0.096 0.167 0.089
O: 0.511 0.832 0.412
O: 0.726 0.301 0.029
O: 0.073 0.646 0.078
O: 0.444 0.363 0.642
O: 0.440 0.513 0.139
O: 0.817 0.520 0.639
O: 0.087 0.961 0.196
O: 0.593 0.165 0.087
O: 0.986 0.181 0.306
O: 0.652 0.829 0.256
O: 0.107 0.034 0.306
O: 0.345 0.524 0.244
O: 0.584 0.212 0.697
O: 0.417 0.024 0.089
O: 0.913 0.793 0.305
O: 0.421 0.522 0.746
O: 0.078 0.699 0.470
O: 0.177 0.854 0.578
O: 0.921 0.319 0.246
O: 0.944 0.363 0.642
O: 0.573 0.500 0.578
O: 0.149 0.473 0.757
O: 0.583 0.977 0.912
O: 0.917 0.812 0.587
O: 0.519 0.214 0.196
O: 0.905 0.832 0.912
O: 0.079 0.457 0.970
O: 0.928 0.357 0.922
O: 0.417 0.812 0.587
O: 0.683 0.885 0.859
O: 0.238 0.166 0.244
O: 0.682 0.482 0.358
O: 0.428 0.357 0.922
O: 0.019 0.214 0.196
O: 0.410 0.786 0.305
O: 0.651 0.458 0.470
O: 0.417 0.311 0.244
O: 0.822 0.145 0.423
O: 0.925 0.548 0.029
O: 0.728 0.153 0.529
O: 0.394 0.822 0.194
O: 0.257 0.883 0.361
O: 0.557 0.481 0.859
O: 0.738 0.363 0.142
O: 0.750 0.357 0.422
O: 0.350 0.153 0.028
O: 0.059 0.635 0.358
O: 0.151 0.455 0.472
O: 0.772 0.846 0.472
O: 0.817 0.116 0.138
O: 0.490 0.167 0.587
O: 0.736 0.307 0.745
O: 0.184 0.484 0.361
O: 0.760 0.687 0.256
O: 0.073 0.501 0.578
O: 0.250 0.646 0.577
O: 0.750 0.144 0.923
O: 0.849 0.548 0.527
O: 0.594 0.021 0.588
O: 0.250 0.355 0.423
O: 0.650 0.842 0.970
O: 0.485 0.790 0.807
O: 0.928 0.500 0.422
O: 0.011 0.190 0.912
O: 0.251 0.144 0.922
O: 0.577 0.699 0.471
O: 0.317 0.520 0.639
O: 0.649 0.473 0.757
O: 0.227 0.152 0.529
O: 0.084 0.212 0.697
O: 0.586 0.696 0.757
O: 0.558 0.630 0.361
O: 0.424 0.302 0.529
O: 0.750 0.854 0.077
O: 0.179 0.500 0.078
O: 0.086 0.696 0.757
O: 0.250 0.858 0.078
O: 0.990 0.167 0.587
O: 0.894 0.962 0.696
O: 0.094 0.021 0.588
O: 0.183 0.885 0.859
O: 0.991 0.815 0.088
O: 0.905 0.978 0.412
O: 0.843 0.160 0.746
O: 0.152 0.830 0.256
O: 0.105 0.176 0.806
O: 0.012 0.833 0.411
O: 0.758 0.885 0.361
O: 0.578 0.459 0.970
O: 0.428 0.499 0.423
O: 0.605 0.176 0.806
O: 0.405 0.833 0.913
O: 0.238 0.111 0.642
O: 0.986 0.790 0.807
O: 0.272 0.846 0.471
O: 0.521 0.830 0.698
O: 0.084 0.190 0.412
O: 0.750 0.646 0.577
O: 0.322 0.144 0.423
O: 0.585 0.473 0.256
O: 0.317 0.122 0.139
O: 0.412 0.033 0.806
O: 0.244 0.368 0.139
O: 0.758 0.630 0.861
O: 0.085 0.481 0.256
O: 0.912 0.033 0.806
O: 0.823 0.499 0.923
O: 0.738 0.111 0.642
O: 0.057 0.481 0.859
O: 0.343 0.160 0.746
O: 0.677 0.854 0.578
O: 0.236 0.307 0.746
O: 0.423 0.546 0.028
O: 0.487 0.808 0.088
O: 0.022 0.830 0.698
P: 0.499 0.291 0.251
P: 0.854 0.998 0.751
P: 0.853 0.710 0.251
P: 0.646 0.999 0.250
P: 0.146 0.292 0.751
P: 0.999 0.707 0.751
P: 0.020 0.666 0.416
P: 0.813 0.962 0.418
P: 0.000 0.292 0.251
P: 0.167 0.961 0.917
P: 0.833 0.626 0.584
P: 0.980 0.628 0.085
P: 0.146 0.001 0.250
P: 0.354 0.709 0.249
P: 0.499 0.707 0.751
P: 0.814 0.665 0.918
P: 0.686 0.333 0.085
P: 0.313 0.961 0.417
P: 0.646 0.292 0.751
P: 0.019 0.373 0.917
P: 0.833 0.040 0.083
P: 0.333 0.626 0.584
P: 0.519 0.665 0.417
P: 0.313 0.666 0.918
P: 0.687 0.040 0.585
P: 0.168 0.374 0.417
P: 0.667 0.961 0.917
P: 0.187 0.333 0.083
P: 0.334 0.042 0.083
P: 0.187 0.039 0.585
P: 0.479 0.625 0.083
P: 0.980 0.334 0.585
P: 0.667 0.374 0.416
P: 0.354 0.998 0.751
P: 0.480 0.334 0.585
P: 0.520 0.373 0.917
Sn: 0.001 0.004 0.354
Sn: 0.169 0.666 0.817
Sn: 0.333 0.335 0.185
Sn: 0.998 0.001 0.147
Sn: 0.833 0.333 0.984
Sn: 0.167 0.667 0.519
Sn: 0.333 0.332 0.981
Sn: 0.166 0.667 0.020
Sn: 0.501 0.000 0.147
Sn: 0.499 0.998 0.646
Sn: 0.668 0.667 0.020
Sn: 0.170 0.666 0.316
Sn: 0.667 0.666 0.519
Sn: 0.999 0.998 0.646
Sn: 0.999 0.998 0.854
Sn: 0.833 0.334 0.483
Sn: 0.500 0.998 0.854
Sn: 0.498 0.997 0.353
Sn: 0.669 0.666 0.817
Sn: 0.333 0.333 0.483
Sn: 0.666 0.673 0.316
Na: 0.187 0.009 0.744
Na: 0.502 0.003 0.001
Na: 0.687 0.009 0.744
Na: 0.671 0.666 0.661
Na: 0.669 0.679 0.165
Na: 0.333 0.334 0.335
Na: 0.688 0.365 0.246
Na: 0.833 0.321 0.332
Na: 0.500 0.000 0.501
Na: 0.333 0.343 0.831
Na: 0.494 0.363 0.744
Na: 0.994 0.623 0.246
Na: 0.000 0.000 0.501
Na: 0.998 0.997 0.002
Na: 0.994 0.363 0.744
Na: 0.171 0.666 0.661
Na: 0.169 0.664 0.166
Na: 0.833 0.343 0.832
Zn: 0.333 0.341 0.679
Zn: 0.833 0.323 0.181
Zn: 0.833 0.341 0.679


[2]
The following is a DFT calculation (PBE) of a geometry-optimized NaAsO6 structure.

## Properties
* E above lowest polymorph: 145.5 meV/atom
* calculated formation energy: -682 meV per atom
* space group: P2_1 (4)

Cell lengths 4.604, 6.238, 8.641 Å; angles 81.58, 90.00, 90.00 degrees
Fractional positions:
O: 0.017 0.121 0.145
O: 0.810 0.051 0.781
O: 0.103 0.508 0.758
O: 0.605 0.703 0.946
O: 0.488 0.109 0.504
O: 0.864 0.494 0.284
O: 0.517 0.879 0.855
O: 0.364 0.506 0.716
O: 0.988 0.891 0.496
O: 0.603 0.492 0.242
O: 0.105 0.297 0.054
O: 0.310 0.949 0.219
As: 0.358 0.865 0.427
As: 0.858 0.135 0.573
Na: 0.088 0.734 0.049
Na: 0.588 0.266 0.951


[3]
The following is a DFT calculation (PBE) of a geometry-optimized Ce3Se2NO structure.

## Properties
* calculated formation energy: -2290 meV per atom
* space group: Cm (8)

Cell lengths 12.422, 12.422, 9.367 Å; angles 84.61, 84.61, 18.59 degrees
Fractional positions:
Se: 0.412 0.412 0.036
Se: 0.589 0.589 0.970
Se: 0.690 0.690 0.672
Se: 0.310 0.310 0.329
Se: 0.868 0.868 0.673
Se: 0.132 0.132 0.325
Ce: 0.462 0.462 0.679
Ce: 0.000 0.000 0.995
Ce: 0.813 0.813 0.992
Ce: 0.090 0.090 0.648
Ce: 0.538 0.538 0.321
Ce: 0.280 0.280 0.663
Ce: 0.907 0.907 0.353
Ce: 0.188 0.188 0.009
Ce: 0.719 0.719 0.337
O: 0.448 0.448 0.430
O: 0.998 0.998 0.247
O: 0.553 0.553 0.563
N: 0.276 0.276 0.901
N: 0.724 0.724 0.099
N: 0.002 0.002 0.756


[4]
The following is a DFT calculation (PBE) of a geometry-optimized Re3Ir structure.

## Properties
* calculated formation energy: -106 meV per atom
* space group: Pm-3m (221)

Cell lengths 3.906, 3.906, 3.906 Å; angles 90.00, 90.00, 90.00 degrees
Fractional positions:
Re: 0.000 0.500 0.500
Re: 0.500 0.500 0.000
Re: 0.500 0.000 0.500
Ir: 0.000 0.000 0.000


[5]
The following is a DFT calculation (PBE) of a geometry-optimized Ce5NiGe2 structure.

## Properties
* calculated formation energy: -429 meV per atom
* space group: P4/ncc (130)

Cell lengths 11.444, 11.444, 6.116 Å; angles 90.00, 90.00, 90.00 degrees
Fractional positions:
Ni: 0.000 0.500 0.070
Ni: 0.500 0.000 0.930
Ni: 0.500 0.000 0.430
Ni: 0.000 0.500 0.570
Ge: 0.663 0.663 0.250
Ge: 0.337 0.337 0.250
Ge: 0.337 0.663 0.750
Ge: 0.663 0.337 0.750
Ge: 0.837 0.837 0.750
Ge: 0.163 0.837 0.250
Ge: 0.163 0.163 0.750
Ge: 0.837 0.163 0.250
Ce: 0.920 0.288 0.830
Ce: 0.788 0.580 0.830
Ce: 0.580 0.212 0.170
Ce: 0.288 0.080 0.170
Ce: 0.580 0.788 0.670
Ce: 0.500 0.500 0.000
Ce: 0.420 0.788 0.170
Ce: 0.920 0.712 0.330
Ce: 0.080 0.288 0.330
Ce: 0.080 0.712 0.830
Ce: 0.500 0.500 0.500
Ce: 0.712 0.920 0.170
Ce: 0.000 0.000 0.000
Ce: 0.212 0.580 0.330
Ce: 0.000 0.000 0.500
Ce: 0.420 0.212 0.670
Ce: 0.288 0.920 0.670
Ce: 0.712 0.080 0.670
Ce: 0.788 0.420 0.330
Ce: 0.212 0.420 0.830


[6]
The following is a DFT calculation (PBE) of a geometry-optimized Cd12Ge17B8O58 structure.

## Properties
* calculated formation energy: -2112 meV per atom
* space group: P-4 (81)

Cell lengths 15.159, 15.159, 4.771 Å; angles 90.00, 90.00, 90.00 degrees
Fractional positions:
Ge: 0.514 0.896 0.000
Ge: 0.422 0.783 0.498
Ge: 0.000 0.000 0.000
Ge: 0.717 0.192 0.001
Ge: 0.355 0.463 0.007
Ge: 0.283 0.808 0.001
Ge: 0.808 0.717 0.999
Ge: 0.192 0.283 0.999
Ge: 0.783 0.578 0.502
Ge: 0.486 0.104 0.000
Ge: 0.537 0.355 0.993
Ge: 0.463 0.645 0.993
Ge: 0.896 0.486 0.000
Ge: 0.645 0.537 0.007
Ge: 0.217 0.422 0.502
Ge: 0.104 0.514 0.000
Ge: 0.578 0.217 0.498
O: 0.205 0.737 0.164
O: 0.399 0.558 0.837
O: 0.113 0.433 0.269
O: 0.143 0.349 0.734
O: 0.950 0.235 0.151
O: 0.497 0.282 0.727
O: 0.178 0.966 0.255
O: 0.606 0.313 0.262
O: 0.879 0.294 0.729
O: 0.773 0.107 0.817
O: 0.500 0.000 0.177
O: 0.480 0.186 0.268
O: 0.814 0.480 0.732
O: 0.718 0.497 0.273
O: 0.601 0.442 0.837
O: 0.765 0.950 0.849
O: 0.102 0.618 0.169
O: 0.050 0.765 0.151
O: 0.034 0.178 0.745
O: 0.107 0.227 0.183
O: 0.857 0.651 0.734
O: 0.822 0.034 0.255
O: 0.706 0.879 0.271
O: 0.263 0.205 0.836
O: 0.021 0.096 0.200
O: 0.235 0.050 0.849
O: 0.898 0.382 0.169
O: 0.096 0.979 0.800
O: 0.503 0.718 0.727
O: 0.520 0.814 0.268
O: 0.651 0.143 0.266
O: 0.282 0.503 0.273
O: 0.979 0.904 0.200
O: 0.904 0.021 0.800
O: 0.294 0.121 0.271
O: 0.349 0.857 0.266
O: 0.743 0.671 0.272
O: 0.433 0.887 0.731
O: 0.442 0.399 0.163
O: 0.121 0.706 0.729
O: 0.966 0.822 0.745
O: 0.567 0.113 0.731
O: 0.558 0.601 0.163
O: 0.795 0.263 0.164
O: 0.394 0.687 0.262
O: 0.737 0.795 0.836
O: 0.893 0.773 0.183
O: 0.329 0.743 0.728
O: 0.000 0.500 0.823
O: 0.887 0.567 0.269
O: 0.382 0.102 0.831
O: 0.257 0.329 0.272
O: 0.671 0.257 0.728
O: 0.227 0.893 0.817
O: 0.618 0.898 0.831
O: 0.687 0.606 0.738
O: 0.313 0.394 0.738
O: 0.186 0.520 0.732
Cd: 0.246 0.638 0.503
Cd: 0.362 0.246 0.497
Cd: 0.894 0.146 0.510
Cd: 0.106 0.854 0.510
Cd: 0.011 0.325 0.516
Cd: 0.675 0.011 0.484
Cd: 0.638 0.754 0.497
Cd: 0.754 0.362 0.503
Cd: 0.146 0.106 0.490
Cd: 0.325 0.989 0.484
Cd: 0.854 0.894 0.490
Cd: 0.989 0.675 0.516
B: 0.185 0.973 0.962
B: 0.973 0.815 0.038
B: 0.707 0.882 0.974
B: 0.882 0.293 0.026
B: 0.815 0.027 0.962
B: 0.027 0.185 0.038
B: 0.118 0.707 0.026
B: 0.293 0.118 0.974


[7]
The following is a DFT calculation (PBE) of a geometry-optimized AlHO2 structure.

## Properties
* calculated formation energy: -2628 meV per atom
* space group: Pnma (62)

Cell lengths 2.887, 4.915, 8.506 Å; angles 90.00, 90.00, 90.00 degrees
Fractional positions:
H: 0.250 0.629 0.069
H: 0.250 0.871 0.569
H: 0.750 0.129 0.431
H: 0.750 0.371 0.931
O: 0.250 0.792 0.998
O: 0.750 0.550 0.760
O: 0.750 0.292 0.502
O: 0.250 0.708 0.498
O: 0.750 0.950 0.260
O: 0.250 0.050 0.740
O: 0.750 0.208 0.002
O: 0.250 0.450 0.240
Al: 0.250 0.104 0.149
Al: 0.750 0.604 0.351
Al: 0.250 0.396 0.649
Al: 0.750 0.896 0.851


Question: Among the records above, which one has the lowest calculated formation energy?
Answer: AlHO2


Question: Number 4 is which compound?
Answer: Re3Ir


Question: Which of these has the lowest calculated formation energy?
Answer: AlHO2


Copy entry 7 word for word.
The following is a DFT calculation (PBE) of a geometry-optimized AlHO2 structure.

## Properties
* calculated formation energy: -2628 meV per atom
* space group: Pnma (62)

Cell lengths 2.887, 4.915, 8.506 Å; angles 90.00, 90.00, 90.00 degrees
Fractional positions:
H: 0.250 0.629 0.069
H: 0.250 0.871 0.569
H: 0.750 0.129 0.431
H: 0.750 0.371 0.931
O: 0.250 0.792 0.998
O: 0.750 0.550 0.760
O: 0.750 0.292 0.502
O: 0.250 0.708 0.498
O: 0.750 0.950 0.260
O: 0.250 0.050 0.740
O: 0.750 0.208 0.002
O: 0.250 0.450 0.240
Al: 0.250 0.104 0.149
Al: 0.750 0.604 0.351
Al: 0.250 0.396 0.649
Al: 0.750 0.896 0.851